Na3ScZnSiS2O12: optimized geometry, PBE. Values from VASP.

Computed properties:
Formation energy from the elements: -2.44 eV/atom
Space group: Cc (9)

The structure in Quantum ESPRESSO input format:
```
&SYSTEM
  ibrav = 0, nat = 120, ntyp = 6
/
ATOMIC_SPECIES
Na 22.99 Na.upf
Sc 44.96 Sc.upf
Zn 65.41 Zn.upf
Si 28.09 Si.upf
S 32.06 S.upf
O 16.00 O.upf
ATOMIC_POSITIONS crystal
Na 0.634 0.011 0.252
Na 0.003 0.639 0.237
Na 0.635 0.639 0.737
Na 0.377 0.011 0.752
Na 0.318 0.349 0.586
Na 0.652 0.944 0.578
Na 0.292 0.944 0.078
Na 0.030 0.349 0.086
Na 0.984 0.684 0.924
Na 0.692 0.027 0.905
Na 0.335 0.027 0.405
Na 0.700 0.684 0.424
Na 0.975 0.987 0.494
Na 0.012 0.987 0.994
Na 0.660 0.309 0.828
Na 0.650 0.309 0.328
Na 0.332 0.661 0.162
Na 0.329 0.661 0.662
Sc 0.980 0.983 0.648
Sc 0.003 0.983 0.148
Sc 0.660 0.336 0.982
Sc 0.675 0.336 0.482
Sc 0.341 0.684 0.317
Sc 0.343 0.684 0.817
Zn 0.010 0.015 0.347
Zn 0.005 0.015 0.847
Zn 0.678 0.332 0.681
Zn 0.654 0.332 0.181
Zn 0.305 0.673 0.012
Zn 0.369 0.673 0.512
Si 0.302 0.007 0.253
Si 0.705 0.007 0.753
Si 0.665 0.623 0.585
Si 0.958 0.623 0.085
Si 0.329 0.976 0.916
Si 0.648 0.976 0.416
S 0.702 0.702 0.253
S 0.003 0.299 0.249
S 0.295 0.299 0.749
S 0.000 0.702 0.753
S 0.969 0.336 0.584
S 0.367 0.036 0.584
S 0.669 0.036 0.084
S 0.367 0.336 0.084
S 0.620 0.661 0.919
S 0.038 0.371 0.920
S 0.333 0.371 0.420
S 0.041 0.661 0.419
O 0.214 0.021 0.314
O 0.798 0.779 0.308
O 0.979 0.189 0.301
O 0.211 0.189 0.801
O 0.981 0.779 0.808
O 0.808 0.021 0.814
O 0.798 0.976 0.694
O 0.203 0.219 0.693
O 0.030 0.817 0.700
O 0.788 0.817 0.200
O 0.016 0.219 0.193
O 0.178 0.976 0.194
O 0.891 0.351 0.639
O 0.470 0.110 0.638
O 0.642 0.509 0.645
O 0.867 0.509 0.145
O 0.639 0.110 0.138
O 0.460 0.351 0.139
O 0.449 0.304 0.032
O 0.851 0.528 0.025
O 0.687 0.143 0.030
O 0.456 0.143 0.530
O 0.677 0.528 0.525
O 0.855 0.304 0.532
O 0.522 0.668 0.970
O 0.129 0.443 0.976
O 0.292 0.862 0.977
O 0.570 0.862 0.477
O 0.313 0.443 0.476
O 0.146 0.668 0.470
O 0.117 0.646 0.361
O 0.518 0.879 0.359
O 0.346 0.479 0.368
O 0.134 0.479 0.868
O 0.361 0.879 0.859
O 0.529 0.646 0.861
O 0.024 0.816 0.417
O 0.831 0.984 0.407
O 0.191 0.196 0.416
O 0.005 0.196 0.916
O 0.153 0.984 0.907
O 0.791 0.816 0.917
O 0.991 0.181 0.588
O 0.202 0.037 0.588
O 0.830 0.819 0.586
O 0.989 0.819 0.086
O 0.835 0.037 0.088
O 0.190 0.181 0.088
O 0.668 0.165 0.745
O 0.471 0.321 0.747
O 0.847 0.537 0.746
O 0.690 0.537 0.246
O 0.851 0.321 0.247
O 0.497 0.165 0.245
O 0.648 0.513 0.921
O 0.868 0.365 0.920
O 0.511 0.156 0.921
O 0.645 0.156 0.421
O 0.498 0.365 0.420
O 0.864 0.513 0.421
O 0.345 0.484 0.076
O 0.152 0.644 0.084
O 0.525 0.863 0.078
O 0.338 0.863 0.578
O 0.491 0.644 0.584
O 0.139 0.484 0.576
O 0.314 0.828 0.254
O 0.528 0.685 0.255
O 0.158 0.469 0.253
O 0.311 0.469 0.753
O 0.157 0.685 0.755
O 0.514 0.828 0.754
CELL_PARAMETERS angstrom
9.047 0.000 0.000
-4.524 7.933 0.067
0.000 0.198 22.400
```